## Li2CrO3 (PBE with a Hubbard U)

Data for a relaxed structure of Li2CrO3.

Results
Polymorph energy (0 for the lowest one)   36.7 meV/atom
Symmetry   P1, No. 1
Formation energy   -1281 kJ/mol of formula units
Final energy   -37.53 eV/f.u.

abc: 2.9218 9.7809 7.6554
angles: 85.18 79.35 81.23
Last column: nearest neighbours and their distance in Å.
Atoms (fractional coordinates):
Cr1 0.0060 0.5028 0.5143  3 O 1.79-2.01
O1 0.1487 0.8923 0.7869  3 Cr 2.00-2.07, 3 Li 2.12-2.24
Li1 0.9928 0.7581 0.2558  6 O 2.09-2.25
O2 0.4879 0.8862 0.1072  2 Cr 1.89-2.01, 2 Li 2.08-2.09
Li2 0.3347 0.7499 0.5833  6 O 2.07-2.12
O3 0.8404 0.6173 0.6933  1 Cr 1.79
Li3 0.3330 0.0001 0.3333  6 O 2.08-2.10
O4 0.5175 0.1076 0.8797  3 Cr 2.00-2.07, 3 Li 2.12-2.24
Li4 0.9907 0.2578 0.7564  6 O 2.09-2.24
Li5 0.6740 0.7423 0.9100  6 O 2.08-2.24
O5 0.8138 0.3825 0.9737  1 Cr 1.79
O6 0.4939 0.3860 0.6078  2 Cr 1.90-2.01, 2 Li 2.08-2.09
O7 0.8381 0.1171 0.1934  1 Cr 1.79
O8 0.1770 0.1137 0.5595  2 Cr 1.90-2.01, 2 Li 2.08-2.09
Li6 0.3349 0.4998 0.8334  6 O 2.07-2.12
Cr2 0.0009 0.0031 0.0137  3 O 1.79-2.00
Cr3 0.6869 0.4972 0.1524  2 O 1.79-1.90
O9 0.1769 0.3931 0.2870  3 Cr 2.01-2.06, 2 Li 2.12-2.18
O10 0.1461 0.6140 0.0590  2 Cr 1.90-2.01, 2 Li 2.08-2.09
O11 0.5216 0.6070 0.3797  3 Cr 2.01-2.06, 2 Li 2.12-2.21
Cr4 0.6650 0.9969 0.6528  3 O 1.79-2.00
Li7 0.6663 0.2422 0.4107  6 O 2.09-2.28
Li8 0.3249 0.2501 0.0835  6 O 2.07-2.12
O12 0.8278 0.8829 0.4732  1 Cr 1.79

***

## Li2Cr3O10 (PBE with a Hubbard U)

Data for a relaxed structure of Li2Cr3O10.

Results
Symmetry   P2_1/c, No. 14
Formation energy   -2467 kJ/mol of formula units
Final energy   -94.95 eV/f.u.

abc: 16.9181 6.7970 8.8585
angles: 55.21 90.00 90.00
Last column: nearest neighbours and their distance in Å.
Atoms (fractional coordinates):
Li1 0.1723 0.9235 0.5265  1 O 1.98
O1 0.5300 0.6743 0.2321  1 Cr 1.63
O2 0.9962 0.8041 0.9719  2 Cr 1.75-1.81
Cr1 0.9106 0.7385 0.1044  4 O 1.61-1.76
Li2 0.3277 0.9235 0.0265  1 O 1.98
Li3 0.8277 0.0765 0.4735  1 O 1.98
O3 0.1425 0.0240 0.9859  1 Cr 1.61
O4 0.2376 0.1611 0.6291  1 Cr 1.62
O5 0.0862 0.9910 0.6415  1 Cr 1.64
Cr2 0.5894 0.7385 0.6044  4 O 1.61-1.76
Cr3 0.4980 0.0981 0.7662  4 O 1.63-1.81
O6 0.2048 0.6297 0.4432  1 Cr 1.64
O7 0.3575 0.0240 0.4859  1 Cr 1.61
Cr4 0.7733 0.5763 0.9482  3 O 1.62-1.64
O8 0.0300 0.3257 0.2679  1 Cr 1.63
O9 0.6492 0.5224 0.6109  2 Cr 1.76-1.82
Cr5 0.2733 0.4237 0.5518  3 O 1.62-1.64
Li4 0.6053 0.5223 0.1337  3 O 2.08-2.27
Cr6 0.4106 0.2615 0.3956  4 O 1.61-1.76
O10 0.0672 0.8855 0.3777  1 Cr 1.63
Cr7 0.5020 0.9019 0.2338  4 O 1.63-1.81
O11 0.2952 0.6297 0.9432  1 Cr 1.64
O12 0.8108 0.5758 0.7779  1 Cr 1.64
O13 0.2624 0.1611 0.1291  1 Cr 1.62
O14 0.4700 0.3257 0.7679  1 Cr 1.63
O15 0.0650 0.3573 0.6891  1 Cr 1.61
O16 0.6892 0.5758 0.2779  1 Cr 1.64
Li5 0.8947 0.5223 0.6337  3 O 2.08-2.27
O17 0.7048 0.3703 0.0568  1 Cr 1.64
O18 0.8508 0.5224 0.1109  2 Cr 1.76-1.82
O19 0.1492 0.4776 0.8891  2 Cr 1.76-1.82
Li6 0.1053 0.4777 0.3663  3 O 2.08-2.27
O20 0.3108 0.4242 0.7221  1 Cr 1.64
O21 0.5650 0.6427 0.8109  1 Cr 1.61
O22 0.4962 0.1959 0.5281  2 Cr 1.75-1.81
O23 0.9350 0.6427 0.3109  1 Cr 1.61
Cr8 0.0020 0.0981 0.2662  4 O 1.63-1.81
O24 0.7376 0.8389 0.8709  1 Cr 1.62
Li7 0.3947 0.4777 0.8663  3 O 2.08-2.27
Cr9 0.7267 0.5763 0.4482  3 O 1.62-1.64
O25 0.9328 0.1145 0.6223  1 Cr 1.63
O26 0.7952 0.3703 0.5568  1 Cr 1.64
O27 0.9138 0.0090 0.3585  1 Cr 1.64
Cr10 0.9980 0.9019 0.7338  4 O 1.63-1.81
O28 0.5862 0.0090 0.8585  1 Cr 1.64
Cr11 0.2267 0.4237 0.0518  3 O 1.62-1.64
O29 0.7624 0.8389 0.3709  1 Cr 1.62
Li8 0.6723 0.0765 0.9735  1 O 1.98
O30 0.6425 0.9760 0.5141  1 Cr 1.61
O31 0.3508 0.4776 0.3891  2 Cr 1.76-1.82
O32 0.4138 0.9910 0.1415  1 Cr 1.64
O33 0.8575 0.9760 0.0141  1 Cr 1.61
O34 0.1892 0.4242 0.2221  1 Cr 1.64
O35 0.0038 0.1959 0.0281  2 Cr 1.75-1.81
O36 0.5038 0.8041 0.4719  2 Cr 1.75-1.81
Cr12 0.0894 0.2615 0.8956  4 O 1.61-1.76
O37 0.4328 0.8855 0.8777  1 Cr 1.63
O38 0.4350 0.3573 0.1891  1 Cr 1.61
O39 0.5672 0.1145 0.1223  1 Cr 1.63
O40 0.9700 0.6743 0.7321  1 Cr 1.63

***

## Li3CrO4 (PBE with a Hubbard U)

Data for a relaxed structure of Li3CrO4.

Results
Polymorph energy (0 for the lowest one)   89.6 meV/atom
Symmetry   P4_122, No. 91
Formation energy   -1614 kJ/mol of formula units
Maximum piezoelectric response   0.35 C/m2
Final energy   -47.15 eV/f.u.

abc: 5.7967 5.7967 8.2326
angles: 90.00 90.00 90.00
Last column: nearest neighbours and their distance in Å.
Atoms (fractional coordinates):
O1 0.9789 0.2715 0.2566  1 Cr 1.77
O2 0.7301 0.4915 0.0205  2 Cr 1.91-2.05, 2 Li 2.00-2.11
Cr1 0.7758 0.5000 0.2500  4 O 1.77-1.91
O3 0.7285 0.9789 0.5066  1 Cr 1.77
O4 0.2715 0.9789 0.4934  1 Cr 1.77
O5 0.0211 0.7285 0.7566  1 Cr 1.77
Li1 0.7502 0.0000 0.7500  6 O 2.01-2.22
Li2 0.0000 0.2498 0.5000  6 O 2.01-2.22
O6 0.4915 0.2699 0.7705  2 Cr 1.91-2.05, 2 Li 2.00-2.11
O7 0.2699 0.4915 0.9795  2 Cr 1.91-2.05, 2 Li 2.00-2.11
O8 0.5085 0.7301 0.2705  2 Cr 1.91-2.05, 2 Li 2.00-2.11
Li3 0.2538 0.5000 0.2500  6 O 2.00-2.23
O9 0.0211 0.2715 0.7434  1 Cr 1.77
Li4 0.5000 0.7462 0.0000  6 O 2.00-2.23
Li5 0.0000 0.7502 0.0000  6 O 2.01-2.22
O10 0.9789 0.7285 0.2434  1 Cr 1.77
Li6 0.5000 0.2538 0.5000  6 O 2.00-2.23
Li7 0.7462 0.5000 0.7500  6 O 2.00-2.23
Cr2 0.5000 0.7758 0.5000  4 O 1.77-1.91
O11 0.4915 0.7301 0.7295  2 Cr 1.91-2.05, 2 Li 2.00-2.11
O12 0.7301 0.5085 0.4795  2 Cr 1.91-2.05, 2 Li 2.00-2.11
Li8 0.0000 0.2496 0.0000  6 O 2.06-2.12
Li9 0.7504 0.0000 0.2500  6 O 2.06-2.12
Li10 0.2498 0.0000 0.2500  6 O 2.01-2.22
Cr3 0.5000 0.2242 0.0000  4 O 1.77-1.91
O13 0.2699 0.5085 0.5205  2 Cr 1.91-2.05, 2 Li 2.00-2.11
O14 0.2715 0.0211 0.0066  1 Cr 1.77
O15 0.5085 0.2699 0.2295  2 Cr 1.91-2.05, 2 Li 2.00-2.11
Li11 0.2496 0.0000 0.7500  6 O 2.06-2.12
Cr4 0.2242 0.5000 0.7500  4 O 1.77-1.91
Li12 0.0000 0.7504 0.5000  6 O 2.06-2.12
O16 0.7285 0.0211 0.9934  1 Cr 1.77

***

## Li2Cr4O13 (PBE with a Hubbard U)

Data for a relaxed structure of Li2Cr4O13.

Results
Polymorph energy (0 for the lowest one)   81.5 meV/atom
Symmetry   P-1, No. 2
Formation energy   -3023 kJ/mol of formula units
Final energy   -121.16 eV/f.u.

abc: 7.7615 8.2420 12.2430
angles: 95.20 107.73 94.01
Last column: nearest neighbours and their distance in Å.
Atoms (fractional coordinates):
Cr1 0.1348 0.2352 0.3603  2 O 1.59-1.64
O1 0.9727 0.2764 0.6170  1 Cr 1.63
O2 0.9651 0.5919 0.5887  2 Cr 1.80-1.82
O3 0.5370 0.8183 0.7843  1 Cr 1.60
O4 0.1843 0.4864 0.7806  1 Cr 1.60
Cr2 0.4875 0.5708 0.3480  2 O 1.61-1.62
Li1 0.7722 0.1148 0.6236  3 O 1.96-2.00
Cr3 0.0426 0.8370 0.0447  2 O 1.61-1.62
O5 0.5003 0.6820 0.0039  1 Cr 1.63
O6 0.5848 0.4402 0.7904  1 Cr 1.61
O7 0.8515 0.9938 0.0058  2 Cr 1.82-2.01
O8 0.0273 0.7236 0.3830  1 Cr 1.63
Cr4 0.1156 0.4405 0.6438  2 O 1.60-1.63
O9 0.4997 0.3180 0.9961  1 Cr 1.63
O10 0.3719 0.3924 0.3851  2 Cr 1.83-2.02
Cr5 0.5125 0.4292 0.6520  2 O 1.61-1.62
O11 0.7140 0.6898 0.3886  2 Cr 1.85-1.87, 1 Li 2.00
O12 0.0597 0.2263 0.2238  1 Cr 1.59
O13 0.6057 0.2851 0.5981  1 Cr 1.62
O14 0.1343 0.6856 0.9988  1 Cr 1.62
O15 0.6281 0.6076 0.6149  2 Cr 1.83-2.02
O16 0.3289 0.5889 0.6133  2 Cr 1.83-1.99
O17 0.4630 0.1817 0.2157  1 Cr 1.60
O18 0.2860 0.3102 0.6114  2 Cr 1.85-1.87, 1 Li 2.00
O19 0.1815 0.2831 0.9891  2 Cr 1.85, 1 Li 1.99
O20 0.6660 0.8850 0.6107  2 Cr 1.84-1.85, 1 Li 1.99
Cr6 0.3529 0.1557 0.9586  3 O 1.61-1.78
O21 0.1485 0.0062 0.9942  2 Cr 1.82-2.01
O22 0.8185 0.7169 0.0109  2 Cr 1.85, 1 Li 1.99
O23 0.3943 0.7149 0.4019  1 Cr 1.62
O24 0.3282 0.9100 0.5919  1 Cr 1.64
O25 0.5000 0.0000 0.0000  2 Cr 1.78
O26 0.7157 0.8767 0.1803  1 Cr 1.61
O27 0.8157 0.5136 0.2194  1 Cr 1.60
O28 0.2843 0.1233 0.8197  1 Cr 1.61
O29 0.6711 0.4111 0.3867  2 Cr 1.83-1.99
Cr7 0.5249 0.2172 0.3534  2 O 1.60-1.64
O30 0.1178 0.8618 0.1838  1 Cr 1.61
Li2 0.2958 0.5121 0.0067  3 O 1.96-2.05
Cr8 0.8652 0.7648 0.6397  2 O 1.59-1.64
Li3 0.1901 0.0871 0.6325  4 O 1.98-2.17
O31 0.9403 0.7737 0.7762  1 Cr 1.59
Li4 0.8099 0.9129 0.3675  4 O 1.98-2.17
Li5 0.7042 0.4879 0.9933  3 O 1.96-2.05
Cr9 0.4751 0.7828 0.6466  2 O 1.60-1.64
Cr10 0.6471 0.8443 0.0414  3 O 1.61-1.78
O32 0.8657 0.3144 0.0012  1 Cr 1.62
O33 0.4152 0.5598 0.2096  1 Cr 1.61
O34 0.0349 0.4081 0.4113  2 Cr 1.80-1.82
O35 0.3340 0.1150 0.3893  2 Cr 1.84-1.85, 1 Li 1.99
O36 0.6718 0.0900 0.4081  1 Cr 1.64
O37 0.0241 0.0849 0.3984  1 Cr 1.64
Cr11 0.9574 0.1630 0.9553  2 O 1.61-1.62
O38 0.8822 0.1382 0.8162  1 Cr 1.61
Li6 0.2278 0.8852 0.3764  3 O 1.96-2.00
O39 0.9759 0.9151 0.6016  1 Cr 1.64
Cr12 0.8844 0.5595 0.3562  2 O 1.60-1.63

***

The highest formation energy belongs to which entry?
Li2CrO3